Entry 1:
SiCl2 | PBE-GGA | relaxed

Its formation energy is -1.39 eV per atom. As for the total energy: -48.3 eV per cell. The calculation puts the density at 1.646 g/cm3. Its magnetic moment is 0.000 μB per atom. The largest piezoelectric modulus is 0.0 C/m².

It has space group P2_12_12_1 (No. 19), with a = 4.0271 Å, b = 7.1894 Å, c = 13.7962 Å, α = 90.00°, β = 90.00° and γ = 90.00°. The distinct sites, in fractional coordinates, are Si at (0.0245, 0.1638, 0.0108), Cl at (0.0263, 0.0576, 0.1497) and Cl at (0.0266, 0.9490, 0.9118).

***

Entry 2:
SiCl4 | PBE-GGA | relaxed

Its formation energy is -1.74 eV per atom. As for the total energy: -76.3 eV per cell. The calculation puts the density at 1.548 g/cm3.

It has space group P2_1/c (No. 14), with a = 10.3991 Å, b = 6.8560 Å, c = 10.4867 Å, α = 90.00°, β = 102.89° and γ = 90.00°. The distinct sites, in fractional coordinates, are Si at (0.2503, 0.0717, 0.1431), Cl at (0.0979, 0.5691, 0.6959), Cl at (0.1971, 0.1478, 0.5940), Cl at (0.2958, 0.5660, 0.4870) and Cl at (0.4101, 0.0691, 0.2957).

***

Entry 3:
Si3Cl8 | PBE-GGA | relaxed

Its formation energy is -1.57 eV per atom. As for the total energy: -694.3 eV per cell. The calculation puts the density at 1.598 g/cm3. Its magnetic moment is 0.001 μB per atom.

It has space group F-43c (No. 219), with a = 18.2885 Å, b = 18.2885 Å, c = 18.2885 Å, α = 90.00°, β = 90.00° and γ = 90.00°. The distinct sites, in fractional coordinates, are Si at (0.0000, 0.0000, 0.0000), Si at (0.0746, 0.0746, 0.0746), Si at (0.2500, 0.2500, 0.2500), Cl at (0.0163, 0.1122, 0.1627) and Cl at (0.1858, 0.1858, 0.3142).